(1)
YbEuPd2: relaxed, r²SCAN.

Unit cell a=7.018 b=7.018 c=7.018 alpha=90.00 beta=90.00 gamma=90.00
Space group Fm-3m (No. 225)
Symmetry-distinct sites (fractional):
Yb: 0.000 0.000 0.000 [4 per cell]
Eu: 0.000 0.000 0.500 [4 per cell]
Pd: 0.250 0.250 0.250 [8 per cell]

Calculated values
E = -31.0197 eV per atom
energy relative to the elements = -3.1 eV per formula unit


(2)
PmEuPt2: relaxed, r²SCAN.

Unit cell a=7.135 b=7.135 c=7.135 alpha=90.00 beta=90.00 gamma=90.00
Space group Fm-3m (No. 225)
Symmetry-distinct sites (fractional):
Pm: 0.000 0.000 0.000 [4 per cell]
Eu: 0.000 0.000 0.500 [4 per cell]
Pt: 0.250 0.250 0.250 [8 per cell]

Calculated values
E = -43.8649 eV per atom
energy relative to the elements = -4.4 eV per formula unit


(3)
Pr2EuS4: relaxed, r²SCAN.

Unit cell a=8.687 b=8.687 c=8.669 alpha=90.00 beta=90.00 gamma=90.00
Space group I-42d (No. 122)
Symmetry-distinct sites (fractional):
Pr: 0.128 0.750 0.125 [8 per cell]
Eu: 0.000 0.000 0.500 [4 per cell]
S: 0.075 0.675 0.445 [16 per cell]

Calculated values
E = -20.8968 eV per atom
energy relative to the elements = -16.8 eV per formula unit